No. 1
A relaxed structure of Al9Rh2, computed with r²SCAN.

The structure belongs to space group P2_1/c (No. 14); the cell edges are 6.3219, 6.4218 and 8.6578 Å and the angles 90.00°, 95.23° and 90.00°. Symmetry generates all atoms from Al at (0.0000, 0.0000, 0.0000), Al at (0.0977, 0.2134, 0.7271), Al at (0.2121, 0.6054, 0.0388), Al at (0.3887, 0.1956, 0.9963), Al at (0.4026, 0.5232, 0.7700) and Rh at (0.2638, 0.6228, 0.3310).

The energy of formation from the pure elements is -5.76 eV/f.u. Its crystal system is monoclinic. The total magnetization is 0.00 μB/f.u.


No. 2
A relaxed structure of Sm2Al9Rh3, computed with r²SCAN.

The structure belongs to space group Cmcm (No. 63); the cell edges are 13.0122, 7.6241 and 9.5175 Å and the angles 90.00°, 90.00° and 90.00°. Symmetry generates all atoms from Sm at (0.1615, 0.1669, 0.2500), Al at (0.0000, 0.1312, 0.7500), Al at (0.0000, 0.3340, 0.0449), Al at (0.1040, 0.4439, 0.7500), Al at (0.1665, 0.1691, 0.5730), Rh at (0.0000, 0.0000, 0.0000) and Rh at (0.1717, 0.5000, 0.0000).

The energy of formation from the pure elements is -12.50 eV/f.u. Its crystal system is orthorhombic. The total magnetization is 0.00 μB/f.u.


No. 3
A relaxed structure of Tb2Al9Rh3, computed with r²SCAN.

The structure belongs to space group Cmcm (No. 63); the cell edges are 12.9517, 7.5812 and 9.4386 Å and the angles 90.00°, 90.00° and 90.00°. Symmetry generates all atoms from Tb at (0.1612, 0.1668, 0.2500), Al at (0.0000, 0.1301, 0.7500), Al at (0.0000, 0.3336, 0.0471), Al at (0.1046, 0.4446, 0.7500), Al at (0.1670, 0.1687, 0.5739), Rh at (0.0000, 0.0000, 0.0000) and Rh at (0.1722, 0.5000, 0.0000).

The energy of formation from the pure elements is -12.70 eV/f.u. Its crystal system is orthorhombic. The total magnetization is 0.00 μB/f.u.


No. 4
A relaxed structure of TmAlRh, computed with r²SCAN.

The structure belongs to space group Pnma (No. 62); the cell edges are 6.7965, 4.1063 and 7.9062 Å and the angles 90.00°, 90.00° and 90.00°. Symmetry generates all atoms from Tm at (0.0376, 0.2500, 0.1790), Al at (0.1341, 0.2500, 0.5595) and Rh at (0.2378, 0.7500, 0.3768).

The energy of formation from the pure elements is -3.05 eV/f.u. Its crystal system is orthorhombic. The total magnetization is 0.00 μB/f.u.


No. 5
A relaxed structure of Y2Al9Rh3, computed with r²SCAN.

The structure belongs to space group Cmcm (No. 63); the cell edges are 12.9504, 7.5779 and 9.4339 Å and the angles 90.00°, 90.00° and 90.00°. Symmetry generates all atoms from Y at (0.1611, 0.1668, 0.2500), Al at (0.0000, 0.1302, 0.7500), Al at (0.0000, 0.3334, 0.0466), Al at (0.1046, 0.4447, 0.7500), Al at (0.1671, 0.1686, 0.5741), Rh at (0.0000, 0.0000, 0.0000) and Rh at (0.1721, 0.5000, 0.0000).

The energy of formation from the pure elements is -12.64 eV/f.u. Its crystal system is orthorhombic. The total magnetization is 0.00 μB/f.u.


No. 6
A relaxed structure of YbAlRh, computed with r²SCAN.

The structure belongs to space group Pnma (No. 62); the cell edges are 6.7443, 4.1046 and 7.9033 Å and the angles 90.00°, 90.00° and 90.00°. Symmetry generates all atoms from Yb at (0.0369, 0.2500, 0.1783), Al at (0.1347, 0.2500, 0.5587) and Rh at (0.2383, 0.7500, 0.3753).

The energy of formation from the pure elements is -3.09 eV/f.u. Its crystal system is orthorhombic. The total magnetization is 0.00 μB/f.u.


Which formula does entry 3 have? Tb2Al9Rh3